[1]
Density functional theory data (PBE-GGA) for a relaxed structure of CsSO4.

uncorrected energy	-5.556	eV per atom
spin magnetization	8.0	μB per cell
energy of formation from the pure elements	-1.88	eV/atom
energy with MP2020 corrections	-288.7	eV per cell
calculated volume	21.39	A^3/atom

CIF file:
```
data_CsSO4
_chemical_formula_sum 'Cs8 S8 O32'
_space_group_name_H-M_alt 'P 1 21/c 1'
_space_group_IT_number 14
_cell_length_a 15.293
_cell_length_b 4.963
_cell_length_c 15.798
_cell_angle_alpha 90.00
_cell_angle_beta 121.09
_cell_angle_gamma 90.00
loop_
_space_group_symop_operation_xyz
'x,y,z'
'-x,-y,-z'
'-x,y+1/2,-z+1/2'
'x,-y+1/2,z+1/2'
loop_
_atom_site_label
_atom_site_type_symbol
_atom_site_fract_x
_atom_site_fract_y
_atom_site_fract_z
Cs1 Cs 0.124 0.141 0.206
Cs2 Cs 0.376 0.704 0.543
S1 S 0.125 0.202 0.452
S2 S 0.375 0.729 0.292
O1 O 0.035 0.119 0.357
O2 O 0.107 0.028 0.984
O3 O 0.138 0.032 0.536
O4 O 0.219 0.203 0.447
O5 O 0.289 0.625 0.302
O6 O 0.340 0.532 0.725
O7 O 0.405 0.515 0.245
O8 O 0.462 0.695 0.890
```

[2]
Density functional theory data (PBE-GGA) for a relaxed structure of CsSO4.

uncorrected energy	-5.565	eV per atom
energy of formation from the pure elements	-1.89	eV/atom
energy with MP2020 corrections	-72.3	eV per cell
calculated volume	20.11	A^3/atom

CIF file:
```
data_CsSO4
_chemical_formula_sum 'Cs2 S2 O8'
_space_group_name_H-M_alt 'P 1 21/m 1'
_space_group_IT_number 11
_cell_length_a 5.557
_cell_length_b 5.990
_cell_length_c 7.436
_cell_angle_alpha 90.00
_cell_angle_beta 102.84
_cell_angle_gamma 90.00
loop_
_space_group_symop_operation_xyz
'x,y,z'
'-x,-y,-z'
'-x,y+1/2,-z'
'x,-y+1/2,z'
loop_
_atom_site_label
_atom_site_type_symbol
_atom_site_fract_x
_atom_site_fract_y
_atom_site_fract_z
Cs1 Cs 0.032 0.250 0.229
S1 S 0.452 0.250 0.736
O1 O 0.279 0.750 0.195
O2 O 0.320 0.250 0.890
O3 O 0.370 0.044 0.626
```

Which value of uncorrected energy does entry 2 give? -5.565 eV per atom